Record 1
Mg2Sn: relaxed, GGA-PBE.

Calculated values
Energy of formation in eV/f.u.: -0.20
Total DFT energy (no corrections) in eV per atom: -2.47

a = 9.7798 Å, b = 5.3430 Å, c = 5.5010 Å
α = 90.00°, β = 90.00°, γ = 90.00°
Element x y z (fractional)
Mg 0.1670 0.1738 0.2500
Mg 0.1670 0.8262 0.7500
Mg 0.3330 0.3262 0.7500
Mg 0.3330 0.6738 0.2500
Mg 0.6670 0.3262 0.7500
Mg 0.6670 0.6738 0.2500
Mg 0.8330 0.1738 0.2500
Mg 0.8330 0.8262 0.7500
Sn 0.0000 0.3260 0.7500
Sn 0.0000 0.6740 0.2500
Sn 0.5000 0.1740 0.2500
Sn 0.5000 0.8260 0.7500



Record 2
GdZnGa: relaxed, GGA-PBE.

Calculated values
Energy of formation in eV/f.u.: -1.69
Total DFT energy (no corrections) in eV per atom: -6.69

a = 4.4498 Å, b = 4.4498 Å, c = 7.2860 Å
α = 90.00°, β = 90.00°, γ = 120.00°
Element x y z (fractional)
Gd 0.0000 0.0000 0.0000
Gd 0.0000 0.0000 0.5000
Zn 0.3333 0.6667 0.2500
Zn 0.6667 0.3333 0.7500
Ga 0.3333 0.6667 0.7500
Ga 0.6667 0.3333 0.2500